(1)
AcEuZn2: optimized geometry, r²SCAN.

The value obtained for the formation energy is -268 meV per atom. As for the space group: Fm-3m, No. 225. The magnetization comes out at 28.09 Bohr magnetons per cell. The calculated volume comes out at 28.21 A^3/atom. The raw total energy is -31.51 eV per atom.

```
data_AcEuZn2
_space_group_name_H-M_alt 'P 1'
_space_group_IT_number 1
_cell_length_a 7.670
_cell_length_b 7.670
_cell_length_c 7.670
_cell_angle_alpha 90.00
_cell_angle_beta 90.00
_cell_angle_gamma 90.00
loop_
_space_group_symop_operation_xyz
'x,y,z'
loop_
_atom_site_label
_atom_site_type_symbol
_atom_site_fract_x
_atom_site_fract_y
_atom_site_fract_z
Ac1 Ac 0.000 0.000 0.000
Ac2 Ac 0.000 0.500 0.500
Ac3 Ac 0.500 0.000 0.500
Ac4 Ac 0.500 0.500 0.000
Eu1 Eu 0.000 0.000 0.500
Eu2 Eu 0.000 0.500 0.000
Eu3 Eu 0.500 0.000 0.000
Eu4 Eu 0.500 0.500 0.500
Zn1 Zn 0.250 0.250 0.250
Zn2 Zn 0.250 0.250 0.750
Zn3 Zn 0.250 0.750 0.250
Zn4 Zn 0.250 0.750 0.750
Zn5 Zn 0.750 0.250 0.250
Zn6 Zn 0.750 0.250 0.750
Zn7 Zn 0.750 0.750 0.250
Zn8 Zn 0.750 0.750 0.750
```

---

(2)
ScRh: optimized geometry, r²SCAN.

The value obtained for the formation energy is -1074 meV per atom. As for the space group: Pm-3m, No. 221. The magnetization comes out at 0.00 Bohr magnetons per cell. The calculated volume comes out at 16.65 A^3/atom. The raw total energy is -18.84 eV per atom.

```
data_ScRh
_space_group_name_H-M_alt 'P 1'
_space_group_IT_number 1
_cell_length_a 3.217
_cell_length_b 3.217
_cell_length_c 3.217
_cell_angle_alpha 90.00
_cell_angle_beta 90.00
_cell_angle_gamma 90.00
loop_
_space_group_symop_operation_xyz
'x,y,z'
loop_
_atom_site_label
_atom_site_type_symbol
_atom_site_fract_x
_atom_site_fract_y
_atom_site_fract_z
Sc1 Sc 0.000 0.000 0.000
Rh1 Rh 0.500 0.500 0.500
```

---

(3)
Al3GaN4: optimized geometry, r²SCAN.

The value obtained for the formation energy is -1410 meV per atom. As for the space group: P-43m, No. 215. The magnetization comes out at 0.00 Bohr magnetons per cell. The calculated volume comes out at 10.66 A^3/atom. The raw total energy is -9.93 eV per atom.

```
data_Al3GaN4
_space_group_name_H-M_alt 'P 1'
_space_group_IT_number 1
_cell_length_a 4.401
_cell_length_b 4.401
_cell_length_c 4.401
_cell_angle_alpha 90.00
_cell_angle_beta 90.00
_cell_angle_gamma 90.00
loop_
_space_group_symop_operation_xyz
'x,y,z'
loop_
_atom_site_label
_atom_site_type_symbol
_atom_site_fract_x
_atom_site_fract_y
_atom_site_fract_z
Al1 Al 0.000 0.000 0.500
Al2 Al 0.000 0.500 0.000
Al3 Al 0.500 0.000 0.000
Ga1 Ga 0.500 0.500 0.500
N1 N 0.244 0.244 0.756
N2 N 0.244 0.756 0.244
N3 N 0.756 0.244 0.244
N4 N 0.756 0.756 0.756
```

---

(4)
CrSi2: optimized geometry, r²SCAN.

The value obtained for the formation energy is -257 meV per atom. As for the space group: I4/mmm, No. 139. The magnetization comes out at 0.00 Bohr magnetons per cell. The calculated volume comes out at 11.62 A^3/atom. The raw total energy is -11.13 eV per atom.

```
data_CrSi2
_space_group_name_H-M_alt 'P 1'
_space_group_IT_number 1
_cell_length_a 3.055
_cell_length_b 3.055
_cell_length_c 7.468
_cell_angle_alpha 90.00
_cell_angle_beta 90.00
_cell_angle_gamma 90.00
loop_
_space_group_symop_operation_xyz
'x,y,z'
loop_
_atom_site_label
_atom_site_type_symbol
_atom_site_fract_x
_atom_site_fract_y
_atom_site_fract_z
Cr1 Cr 0.000 0.000 0.000
Cr2 Cr 0.500 0.500 0.500
Si1 Si 0.000 0.000 0.337
Si2 Si 0.000 0.000 0.663
Si3 Si 0.500 0.500 0.163
Si4 Si 0.500 0.500 0.837
```